# GGA+U Li3MnVP3O12, optimized geometry
# E_form, eV per atom: -2.638
# Energy relative to the lowest polymorph listed for this composition, meV/atom: 17
# Crystal system: triclinic
data_Li3MnVP3O12
_chemical_formula_sum 'Li12 Mn4 V4 P12 O48'
_symmetry_space_group_name_H-M 'P 1'
_symmetry_Int_Tables_number 1
_cell_length_a 8.5576
_cell_length_b 8.7553
_cell_length_c 12.1210
_cell_angle_alpha 89.83
_cell_angle_beta 88.39
_cell_angle_gamma 89.73
loop_
_symmetry_equiv_pos_as_xyz
'x,y,z'
loop_
_atom_site_label
_atom_site_type_symbol
_atom_site_fract_x
_atom_site_fract_y
_atom_site_fract_z
Li1 Li 0.0000 0.0000 0.0000
Li2 Li 0.0134 0.5722 0.6549
Li3 Li 0.1442 0.5984 0.9634
Li4 Li 0.1591 0.1718 0.6178
Li5 Li 0.2580 0.8658 0.1311
Li6 Li 0.3991 0.3654 0.9863
Li7 Li 0.4986 0.6728 0.4993
Li8 Li 0.5133 0.0980 0.1547
Li9 Li 0.6436 0.0715 0.4624
Li10 Li 0.6594 0.5008 0.1179
Li11 Li 0.7591 0.8050 0.6310
Li12 Li 0.8984 0.3056 0.4857
Mn1 Mn 0.3334 0.0497 0.9181
Mn2 Mn 0.8259 0.5558 0.9143
Mn3 Mn 0.8313 0.0571 0.2027
Mn4 Mn 0.8325 0.6224 0.4181
V1 V 0.3226 0.1121 0.4137
V2 V 0.3238 0.5507 0.2004
V3 V 0.3339 0.6112 0.7024
V4 V 0.8234 0.1202 0.6992
P1 P 0.0353 0.8347 0.7989
P2 P 0.1199 0.3327 0.8185
P3 P 0.1942 0.4678 0.4618
P4 P 0.1948 0.1973 0.1621
P5 P 0.4645 0.6966 0.9545
P6 P 0.4644 0.9688 0.6582
P7 P 0.5355 0.8336 0.2988
P8 P 0.6205 0.3349 0.3190
P9 P 0.6949 0.2058 0.9594
P10 P 0.6957 0.4760 0.6590
P11 P 0.9637 0.7040 0.1614
P12 P 0.9641 0.9760 0.4576
O1 O 0.0219 0.5031 0.5003
O2 O 0.0249 0.4181 0.9103
O3 O 0.0272 0.1995 0.2072
O4 O 0.0286 0.2139 0.7544
O5 O 0.1237 0.9532 0.8649
O6 O 0.1319 0.9784 0.4124
O7 O 0.1351 0.7506 0.7094
O8 O 0.1364 0.6644 0.1225
O9 O 0.1796 0.4452 0.7269
O10 O 0.2065 0.2907 0.4778
O11 O 0.2090 0.0801 0.0623
O12 O 0.2195 0.5070 0.3397
O13 O 0.2537 0.3559 0.1218
O14 O 0.2664 0.2614 0.8734
O15 O 0.3098 0.5568 0.5324
O16 O 0.3151 0.1352 0.2462
O17 O 0.3434 0.6359 0.8716
O18 O 0.3499 0.0574 0.5855
O19 O 0.3902 0.7624 0.2435
O20 O 0.4052 0.8562 0.9962
O21 O 0.4405 0.0055 0.7810
O22 O 0.4510 0.5806 0.0545
O23 O 0.4554 0.7919 0.6400
O24 O 0.4774 0.9455 0.3905
O25 O 0.5223 0.2497 0.4080
O26 O 0.5241 0.1705 0.0000
O27 O 0.5276 0.4805 0.7049
O28 O 0.5290 0.4549 0.2533
O29 O 0.6255 0.7125 0.3630
O30 O 0.6307 0.9172 0.2068
O31 O 0.6328 0.6977 0.9098
O32 O 0.6374 0.0073 0.6210
O33 O 0.6787 0.2226 0.2248
O34 O 0.7027 0.3853 0.9747
O35 O 0.7058 0.5925 0.5579
O36 O 0.7170 0.1676 0.8372
O37 O 0.7479 0.3152 0.6198
O38 O 0.7643 0.4054 0.3738
O39 O 0.8125 0.1165 0.0286
O40 O 0.8158 0.5370 0.7410
O41 O 0.8424 0.0372 0.3753
O42 O 0.8491 0.6159 0.0910
O43 O 0.8918 0.9063 0.7419
O44 O 0.9101 0.8163 0.4993
O45 O 0.9444 0.6684 0.2850
O46 O 0.9535 0.0930 0.5568
O47 O 0.9581 0.8829 0.1429
O48 O 0.9753 0.7209 0.8911